CaYAlO4: optimized geometry, GGA-PBE.

## Properties
calculated formation energy = -2420 kJ/mol of formula units
corrected total energy (MP2020 scheme) = -8.1553 eV/atom
calculated volume = 80.6 Å³/f.u.

abc: 6.489 6.489 6.489
angles: 147.03 147.03 47.31
Atoms (fractional coordinates):
Y (0.359, 0.359, 0.000)
O (0.495, 0.995, 0.500)
O (0.170, 0.170, 0.000)
O (0.833, 0.833, 0.000)
O (0.995, 0.495, 0.500)
Al (0.005, 0.005, 0.000)
Ca (0.644, 0.644, 0.000)